(1)
VASP calculation (PBE+U) on an optimized crystal structure of LiSiNiO4. Values from VASP.

Structure (Quantum ESPRESSO input):
```
&SYSTEM
  ibrav = 0, nat = 14, ntyp = 4
/
ATOMIC_SPECIES
Li 6.94 Li.upf
Si 28.09 Si.upf
Ni 58.69 Ni.upf
O 16.00 O.upf
ATOMIC_POSITIONS crystal
Li 0.373 0.123 0.250
Li 0.627 0.877 0.750
Si 0.000 0.000 0.500
Si 0.000 0.500 0.000
Ni 0.000 0.500 0.500
Ni 0.500 0.500 0.000
O 0.210 0.249 0.961
O 0.212 0.751 0.461
O 0.218 0.235 0.517
O 0.218 0.701 0.983
O 0.782 0.299 0.017
O 0.782 0.765 0.483
O 0.788 0.249 0.539
O 0.790 0.751 0.039
CELL_PARAMETERS angstrom
-2.706 2.849 4.186
2.706 -2.849 4.186
2.706 2.849 -4.186
```

=====

(2)
! Li2SiNiO4 (PBE+U, optimized geometry); values from VASP
&SYSTEM
  ibrav = 0, nat = 32, ntyp = 4
/
ATOMIC_SPECIES
Li 6.94 Li.upf
Si 28.09 Si.upf
Ni 58.69 Ni.upf
O 16.00 O.upf
ATOMIC_POSITIONS crystal
Li 0.091 0.204 0.000
Li 0.168 0.701 0.246
Li 0.332 0.201 0.746
Li 0.409 0.704 0.500
Li 0.591 0.296 0.000
Li 0.668 0.799 0.246
Li 0.832 0.299 0.746
Li 0.909 0.796 0.500
Si 0.168 0.692 0.746
Si 0.332 0.192 0.246
Si 0.668 0.808 0.746
Si 0.832 0.308 0.246
Ni 0.085 0.203 0.496
Ni 0.415 0.703 0.996
Ni 0.585 0.297 0.496
Ni 0.915 0.797 0.996
O 0.095 0.796 0.530
O 0.095 0.802 0.959
O 0.165 0.357 0.747
O 0.188 0.297 0.249
O 0.312 0.797 0.749
O 0.335 0.857 0.247
O 0.405 0.296 0.030
O 0.405 0.302 0.459
O 0.595 0.698 0.959
O 0.595 0.704 0.530
O 0.665 0.143 0.747
O 0.688 0.203 0.249
O 0.812 0.703 0.749
O 0.835 0.643 0.247
O 0.905 0.198 0.459
O 0.905 0.204 0.030
CELL_PARAMETERS angstrom
10.832 0.000 0.000
0.000 4.944 0.000
0.000 0.000 6.339
! ΔE to the lowest computed polymorph   0.008 eV/atom

=====

The E results, record by record, are as follows: -86.5 -196.3 eV per cell.
The magnetization results, record by record, are as follows: 1.0 2.0 μB/f.u..
The ΔE_f results, record by record, are as follows: -2.24 -2.44 eV/atom.